[1]
PaCu2Sn: relaxed, PBE.

E_tot in eV/atom: -5.56
ρ in Mg/m³: 10.58
Calculated formation energy in eV/atom: -0.1319

Lattice parameters (Å, degrees): 6.690 6.690 6.690 90.00 90.00 90.00
Atoms (fractional coordinates):
Pa 0.000 0.000 0.000
Pa 0.000 0.500 0.500
Pa 0.500 0.000 0.500
Pa 0.500 0.500 0.000
Cu 0.250 0.250 0.250
Cu 0.250 0.250 0.750
Cu 0.250 0.750 0.250
Cu 0.250 0.750 0.750
Cu 0.750 0.250 0.250
Cu 0.750 0.250 0.750
Cu 0.750 0.750 0.250
Cu 0.750 0.750 0.750
Sn 0.000 0.000 0.500
Sn 0.000 0.500 0.000
Sn 0.500 0.000 0.000
Sn 0.500 0.500 0.500

***

[2]
CuPb3: relaxed, PBE.

E_tot in eV/atom: -3.55
ρ in Mg/m³: 10.68
Calculated formation energy in eV/atom: 0.2610
M_tot in μB/f.u.: 0.00

Lattice parameters (Å, degrees): 4.809 4.809 9.211 90.00 90.00 90.00
Atoms (fractional coordinates):
Cu 0.000 0.000 0.000
Cu 0.500 0.500 0.500
Pb 0.000 0.000 0.500
Pb 0.000 0.500 0.250
Pb 0.000 0.500 0.750
Pb 0.500 0.000 0.250
Pb 0.500 0.000 0.750
Pb 0.500 0.500 0.000

***

[3]
CuPb3: relaxed, PBE.

E_tot in eV/atom: -3.55
ρ in Mg/m³: 10.55
Calculated formation energy in eV/atom: 0.2547
M_tot in μB/f.u.: 0.01

Lattice parameters (Å, degrees): 4.760 4.760 4.760 90.00 90.00 90.00
Atoms (fractional coordinates):
Cu 0.000 0.000 0.000
Pb 0.000 0.500 0.500
Pb 0.500 0.000 0.500
Pb 0.500 0.500 0.000

***

[4]
PrCuPb: relaxed, PBE.

E_tot in eV/atom: -4.57
ρ in Mg/m³: 9.09
Calculated formation energy in eV/atom: -0.3729

Lattice parameters (Å, degrees): 4.663 4.663 7.985 90.00 90.00 120.00
Atoms (fractional coordinates):
Pr 0.000 0.000 0.000
Pr 0.000 0.000 0.500
Cu 0.333 0.667 0.250
Cu 0.667 0.333 0.750
Pb 0.333 0.667 0.750
Pb 0.667 0.333 0.250

***

[5]
CuSbPbS3: relaxed, PBE.

E_tot in eV/atom: -4.39
ρ in Mg/m³: 5.63
Calculated formation energy in eV/atom: -0.5879
M_tot in μB/f.u.: 0.00

Lattice parameters (Å, degrees): 7.885 8.287 8.816 90.00 90.00 90.00
Atoms (fractional coordinates):
Cu 0.245 0.222 0.000
Cu 0.255 0.778 0.500
Cu 0.745 0.778 0.500
Cu 0.755 0.222 0.000
Sb 0.000 0.569 0.128
Sb 0.000 0.991 0.726
Sb 0.500 0.009 0.226
Sb 0.500 0.431 0.628
Pb 0.000 0.052 0.241
Pb 0.000 0.430 0.580
Pb 0.500 0.570 0.080
Pb 0.500 0.948 0.741
S 0.000 0.256 0.860
S 0.000 0.731 0.366
S 0.231 0.061 0.547
S 0.235 0.389 0.213
S 0.265 0.611 0.713
S 0.269 0.939 0.047
S 0.500 0.269 0.866
S 0.500 0.744 0.360
S 0.731 0.939 0.047
S 0.735 0.611 0.713
S 0.765 0.389 0.213
S 0.769 0.061 0.547

***

[6]
Cu2SiPbS4: relaxed, PBE.

E_tot in eV/atom: -4.70
ρ in Mg/m³: 5.02
Calculated formation energy in eV/atom: -0.7170
M_tot in μB/f.u.: 0.00

Lattice parameters (Å, degrees): 6.080 6.080 15.201 90.00 90.00 120.00
Atoms (fractional coordinates):
Cu 0.091 0.664 0.090
Cu 0.336 0.427 0.757
Cu 0.427 0.336 0.243
Cu 0.573 0.909 0.424
Cu 0.664 0.091 0.910
Cu 0.909 0.573 0.576
Si 0.000 0.722 0.833
Si 0.278 0.278 0.500
Si 0.722 0.000 0.167
Pb 0.000 0.529 0.333
Pb 0.471 0.471 0.000
Pb 0.529 0.000 0.667
S 0.027 0.521 0.722
S 0.097 0.327 0.164
S 0.230 0.903 0.498
S 0.327 0.097 0.836
S 0.479 0.505 0.388
S 0.495 0.973 0.055
S 0.505 0.479 0.612
S 0.521 0.027 0.278
S 0.673 0.770 0.831
S 0.770 0.673 0.169
S 0.903 0.230 0.502
S 0.973 0.495 0.945

***

[7]
SrCu2PbS4: relaxed, PBE.

E_tot in eV/atom: -4.43
ρ in Mg/m³: 4.86
Calculated formation energy in eV/atom: -0.9157
M_tot in μB/f.u.: 0.00

Lattice parameters (Å, degrees): 6.437 6.437 15.730 90.00 90.00 120.00
Atoms (fractional coordinates):
Sr 0.000 0.567 0.333
Sr 0.433 0.433 0.000
Sr 0.567 0.000 0.667
Cu 0.073 0.628 0.088
Cu 0.372 0.445 0.755
Cu 0.445 0.372 0.245
Cu 0.555 0.927 0.421
Cu 0.628 0.073 0.912
Cu 0.927 0.555 0.579
Pb 0.000 0.703 0.833
Pb 0.297 0.297 0.500
Pb 0.703 0.000 0.167
S 0.052 0.472 0.708
S 0.135 0.371 0.175
S 0.236 0.865 0.509
S 0.371 0.135 0.825
S 0.420 0.948 0.041
S 0.472 0.052 0.292
S 0.528 0.580 0.374
S 0.580 0.528 0.626
S 0.629 0.764 0.842
S 0.764 0.629 0.158
S 0.865 0.236 0.491
S 0.948 0.420 0.959

***

[8]
TbCuPbS3: relaxed, PBE.

E_tot in eV/atom: -5.24
ρ in Mg/m³: 6.57
Calculated formation energy in eV/atom: -1.3502
M_tot in μB/f.u.: 0.00

Lattice parameters (Å, degrees): 6.827 6.827 10.263 90.00 90.00 146.25
Atoms (fractional coordinates):
Tb 0.004 0.996 0.500
Tb 0.996 0.004 0.000
Cu 0.466 0.534 0.249
Cu 0.534 0.466 0.749
Pb 0.252 0.748 0.774
Pb 0.748 0.252 0.274
S 0.075 0.925 0.248
S 0.362 0.638 0.066
S 0.364 0.636 0.432
S 0.636 0.364 0.932
S 0.638 0.362 0.566
S 0.925 0.075 0.748